Na5LaNb3Si5PO24: optimized geometry, PBE-GGA.

Cell lengths 9.174, 9.202, 22.852 Å; angles 89.96, 89.98, 60.12 degrees
Sites, in units of the cell vectors:
Na  0.000  0.000  0.000
Na  0.001  0.017  0.491
Na  0.041  0.301  0.580
Na  0.301  0.659  0.582
Na  0.325  0.711  0.914
Na  0.331  0.334  0.669
Na  0.341  0.326  0.161
Na  0.359  0.648  0.248
Na  0.655  0.678  0.331
Na  0.658  0.041  0.581
Na  0.662  0.672  0.830
Na  0.708  0.965  0.913
Na  0.965  0.326  0.915
Na  0.973  0.700  0.408
Na  0.987  0.362  0.247
La  0.001  0.998  0.844
La  0.334  0.329  0.514
La  0.995  0.011  0.340
Nb  0.331  0.330  0.311
Nb  0.331  0.335  0.023
Nb  0.337  0.335  0.811
Nb  0.662  0.670  0.686
Nb  0.665  0.663  0.478
Nb  0.665  0.668  0.980
Nb  0.666  0.671  0.179
Nb  0.997  0.002  0.143
Nb  0.997  0.997  0.649
Si  0.024  0.340  0.417
Si  0.044  0.612  0.917
Si  0.303  0.693  0.749
Si  0.303  0.996  0.245
Si  0.341  0.047  0.917
Si  0.371  0.670  0.081
Si  0.374  0.947  0.583
Si  0.612  0.343  0.918
Si  0.668  0.960  0.080
Si  0.678  0.375  0.584
Si  0.691  0.003  0.749
Si  0.696  0.304  0.244
Si  0.946  0.679  0.583
Si  0.957  0.372  0.081
Si  0.995  0.702  0.248
P  0.001  0.304  0.746
P  0.341  0.630  0.414
P  0.627  0.027  0.415
O  0.020  0.177  0.695
O  0.024  0.797  0.917
O  0.032  0.808  0.196
O  0.111  0.330  0.479
O  0.133  0.521  0.585
O  0.139  0.495  0.859
O  0.141  0.357  0.361
O  0.143  0.354  0.075
O  0.161  0.039  0.193
O  0.163  0.513  0.973
O  0.165  0.310  0.749
O  0.167  0.810  0.695
O  0.175  0.028  0.917
O  0.175  0.513  0.255
O  0.184  0.798  0.409
O  0.186  0.839  0.090
O  0.187  0.961  0.590
O  0.251  0.790  0.810
O  0.254  0.933  0.302
O  0.306  0.514  0.752
O  0.307  0.175  0.256
O  0.321  0.560  0.473
O  0.323  0.165  0.973
O  0.353  0.503  0.075
O  0.355  0.130  0.586
O  0.358  0.510  0.361
O  0.363  0.142  0.859
O  0.468  0.695  0.023
O  0.470  0.829  0.525
O  0.489  0.665  0.735
O  0.490  0.840  0.231
O  0.492  0.646  0.136
O  0.494  0.845  0.638
O  0.495  0.365  0.859
O  0.501  0.145  0.075
O  0.507  0.139  0.364
O  0.507  0.637  0.418
O  0.509  0.176  0.752
O  0.510  0.320  0.256
O  0.512  0.324  0.973
O  0.514  0.860  0.922
O  0.516  0.352  0.585
O  0.567  0.112  0.474
O  0.623  0.517  0.922
O  0.626  0.857  0.416
O  0.646  0.857  0.134
O  0.659  0.496  0.637
O  0.660  0.495  0.231
O  0.671  0.840  0.735
O  0.693  0.839  0.022
O  0.699  0.472  0.524
O  0.788  0.962  0.810
O  0.797  0.181  0.917
O  0.802  0.168  0.191
O  0.804  0.026  0.694
O  0.806  0.990  0.409
O  0.812  0.261  0.300
O  0.830  0.704  0.523
O  0.835  0.471  0.023
O  0.839  0.972  0.089
O  0.843  0.659  0.636
O  0.845  0.527  0.418
O  0.846  0.659  0.234
O  0.850  0.479  0.734
O  0.852  0.191  0.589
O  0.857  0.626  0.921
O  0.862  0.491  0.137
O  0.956  0.854  0.590
O  0.958  0.788  0.310
O  0.962  0.249  0.804
O  0.972  0.187  0.089
O  0.996  0.184  0.413

Energy of formation from the pure elements = -2.98 eV/atom
MP2020-corrected energy = -0.583 Ry/atom
V = 14.30 Å³/atom


CuSnH12N2O6: optimized geometry, PBE-GGA.

Cell lengths 4.964, 5.753, 6.723 Å; angles 107.67, 92.28, 92.95 degrees
Sites, in units of the cell vectors:
Cu  0.000  0.000  0.000
Sn  0.000  0.000  0.500
H  0.155  0.451  0.150
H  0.227  0.666  0.628
H  0.265  0.334  0.913
H  0.389  0.981  0.251
H  0.410  0.297  0.554
H  0.424  0.295  0.124
H  0.576  0.705  0.876
H  0.590  0.703  0.446
H  0.611  0.019  0.749
H  0.735  0.666  0.087
H  0.773  0.334  0.372
H  0.845  0.549  0.850
N  0.239  0.302  0.055
N  0.761  0.698  0.945
O  0.208  0.894  0.219
O  0.234  0.329  0.614
O  0.282  0.840  0.648
O  0.718  0.160  0.352
O  0.766  0.671  0.386
O  0.792  0.106  0.781

Energy of formation from the pure elements = -1.01 eV/atom
MP2020-corrected energy = -0.392 Ry/atom
V = 8.29 Å³/atom


FeRe: optimized geometry, PBE-GGA.

Cell lengths 2.689, 2.689, 4.140 Å; angles 90.00, 90.00, 120.00 degrees
Sites, in units of the cell vectors:
Fe  0.000  0.000  0.000
Re  0.667  0.333  0.500

Energy of formation from the pure elements = 0.10 eV/atom
V = 12.96 Å³/atom


SrEuTiSnO6: optimized geometry, PBE-GGA.

Cell lengths 5.683, 5.683, 5.683 Å; angles 60.00, 60.00, 60.00 degrees
Sites, in units of the cell vectors:
Sr  0.000  0.000  0.000
Eu  0.500  0.500  0.500
Ti  0.250  0.250  0.250
Sn  0.750  0.750  0.750
O  0.005  0.005  0.495
O  0.005  0.495  0.005
O  0.005  0.495  0.495
O  0.495  0.005  0.005
O  0.495  0.005  0.495
O  0.495  0.495  0.005

Energy of formation from the pure elements = -3.05 eV/atom
MP2020-corrected energy = -0.618 Ry/atom
V = 12.98 Å³/atom


ErSiAg: optimized geometry, PBE-GGA.

Cell lengths 4.413, 4.413, 3.577 Å; angles 90.00, 90.00, 120.00 degrees
Sites, in units of the cell vectors:
Er  0.000  0.000  0.000
Si  0.667  0.333  0.500
Ag  0.333  0.667  0.500

Energy of formation from the pure elements = -0.49 eV/atom
V = 20.10 Å³/atom


Ba2LaIrO6: optimized geometry, PBE-GGA.

Cell lengths 6.131, 6.103, 10.586 Å; angles 90.00, 125.20, 90.00 degrees
Sites, in units of the cell vectors:
Ba  0.247  0.003  0.248
Ba  0.247  0.497  0.748
Ba  0.753  0.503  0.252
Ba  0.753  0.997  0.752
La  0.500  0.000  0.000
La  0.500  0.500  0.500
Ir  0.000  0.000  0.500
Ir  0.000  0.500  0.000
O  0.208  0.002  0.729
O  0.208  0.498  0.229
O  0.226  0.743  0.010
O  0.226  0.757  0.510
O  0.251  0.217  0.509
O  0.251  0.283  0.009
O  0.749  0.717  0.991
O  0.749  0.783  0.491
O  0.774  0.243  0.490
O  0.774  0.257  0.990
O  0.792  0.502  0.771
O  0.792  0.998  0.271

Energy of formation from the pure elements = -2.71 eV/atom
MP2020-corrected energy = -0.547 Ry/atom
V = 16.18 Å³/atom


Mg14AlC: optimized geometry, PBE-GGA.

Cell lengths 6.214, 6.214, 9.959 Å; angles 90.00, 90.00, 120.00 degrees
Sites, in units of the cell vectors:
Mg  0.000  0.000  0.249
Mg  0.000  0.000  0.751
Mg  0.012  0.506  0.261
Mg  0.012  0.506  0.739
Mg  0.328  0.164  0.500
Mg  0.336  0.168  0.000
Mg  0.494  0.506  0.261
Mg  0.494  0.506  0.739
Mg  0.494  0.988  0.261
Mg  0.494  0.988  0.739
Mg  0.832  0.168  0.000
Mg  0.832  0.664  0.000
Mg  0.836  0.164  0.500
Mg  0.836  0.672  0.500
Al  0.333  0.667  0.000
C  0.333  0.667  0.500

Energy of formation from the pure elements = 0.28 eV/atom
V = 20.82 Å³/atom


CdGeO3: optimized geometry, PBE-GGA.

Cell lengths 10.899, 10.899, 10.899 Å; angles 109.12, 109.12, 110.17 degrees
Sites, in units of the cell vectors:
Cd  0.000  0.000  0.000
Cd  0.126  0.876  0.250
Cd  0.131  0.251  0.368
Cd  0.249  0.117  0.880
Cd  0.263  0.631  0.380
Cd  0.376  0.626  0.750
Cd  0.383  0.763  0.132
Cd  0.500  0.000  0.000
Cd  0.500  0.000  0.500
Cd  0.500  0.500  0.500
Cd  0.617  0.237  0.868
Cd  0.624  0.374  0.250
Cd  0.737  0.369  0.620
Cd  0.751  0.883  0.120
Cd  0.869  0.749  0.632
Cd  0.874  0.124  0.750
Ge  0.000  0.000  0.500
Ge  0.000  0.500  0.000
Ge  0.000  0.500  0.500
Ge  0.113  0.724  0.858
Ge  0.125  0.375  0.750
Ge  0.224  0.867  0.611
Ge  0.245  0.387  0.111
Ge  0.367  0.255  0.642
Ge  0.375  0.125  0.250
Ge  0.500  0.500  0.000
Ge  0.625  0.875  0.750
Ge  0.633  0.745  0.358
Ge  0.755  0.613  0.889
Ge  0.776  0.133  0.389
Ge  0.875  0.625  0.250
Ge  0.887  0.276  0.142
O  0.005  0.614  0.186
O  0.035  0.422  0.336
O  0.072  0.181  0.686
O  0.078  0.914  0.613
O  0.084  0.875  0.864
O  0.087  0.682  0.998
O  0.111  0.200  0.963
O  0.114  0.428  0.609
O  0.182  0.684  0.595
O  0.184  0.089  0.502
O  0.197  0.096  0.231
O  0.199  0.535  0.113
O  0.263  0.851  0.463
O  0.279  0.416  0.291
O  0.300  0.763  0.911
O  0.319  0.505  0.891
O  0.351  0.389  0.589
O  0.365  0.966  0.269
O  0.375  0.011  0.791
O  0.404  0.135  0.101
O  0.411  0.413  0.095
O  0.414  0.301  0.836
O  0.466  0.697  0.601
O  0.489  0.779  0.364
O  0.511  0.221  0.636
O  0.534  0.303  0.399
O  0.586  0.699  0.164
O  0.589  0.587  0.905
O  0.596  0.865  0.899
O  0.625  0.989  0.209
O  0.635  0.034  0.731
O  0.649  0.611  0.411
O  0.681  0.495  0.109
O  0.700  0.237  0.089
O  0.721  0.584  0.709
O  0.737  0.149  0.537
O  0.801  0.465  0.887
O  0.803  0.904  0.769
O  0.816  0.911  0.498
O  0.818  0.316  0.405
O  0.886  0.572  0.391
O  0.889  0.800  0.037
O  0.913  0.318  0.002
O  0.916  0.125  0.136
O  0.922  0.086  0.387
O  0.928  0.819  0.314
O  0.965  0.578  0.664
O  0.995  0.386  0.814

Energy of formation from the pure elements = -1.85 eV/atom
MP2020-corrected energy = -0.436 Ry/atom
V = 12.46 Å³/atom


Li5SbS3I2: optimized geometry, PBE-GGA.

Cell lengths 10.481, 13.581, 7.616 Å; angles 90.00, 90.00, 90.00 degrees
Sites, in units of the cell vectors:
Li  0.061  0.098  0.231
Li  0.061  0.098  0.769
Li  0.187  0.462  0.000
Li  0.195  0.752  0.257
Li  0.195  0.752  0.743
Li  0.305  0.252  0.243
Li  0.305  0.252  0.757
Li  0.313  0.962  0.500
Li  0.439  0.598  0.269
Li  0.439  0.598  0.731
Li  0.561  0.402  0.269
Li  0.561  0.402  0.731
Li  0.687  0.038  0.500
Li  0.695  0.748  0.243
Li  0.695  0.748  0.757
Li  0.805  0.248  0.257
Li  0.805  0.248  0.743
Li  0.813  0.538  0.000
Li  0.939  0.902  0.231
Li  0.939  0.902  0.769
Sb  0.199  0.493  0.500
Sb  0.301  0.993  0.000
Sb  0.699  0.007  0.000
Sb  0.801  0.507  0.500
S  0.172  0.933  0.249
S  0.172  0.933  0.751
S  0.201  0.160  0.000
S  0.299  0.660  0.500
S  0.328  0.433  0.251
S  0.328  0.433  0.749
S  0.672  0.567  0.251
S  0.672  0.567  0.749
S  0.701  0.340  0.500
S  0.799  0.840  0.000
S  0.828  0.067  0.249
S  0.828  0.067  0.751
I  0.058  0.642  0.000
I  0.070  0.238  0.500
I  0.430  0.738  0.000
I  0.442  0.142  0.500
I  0.558  0.858  0.500
I  0.570  0.262  0.000
I  0.930  0.762  0.500
I  0.942  0.358  0.000

Energy of formation from the pure elements = -1.27 eV/atom
MP2020-corrected energy = -0.288 Ry/atom
V = 24.64 Å³/atom


CuS: optimized geometry, PBE-GGA.

Cell lengths 3.797, 3.797, 16.441 Å; angles 90.00, 90.00, 120.00 degrees
Sites, in units of the cell vectors:
Cu  0.333  0.667  0.107
Cu  0.333  0.667  0.393
Cu  0.333  0.667  0.750
Cu  0.667  0.333  0.250
Cu  0.667  0.333  0.607
Cu  0.667  0.333  0.893
S  0.000  0.000  0.064
S  0.000  0.000  0.436
S  0.000  0.000  0.564
S  0.000  0.000  0.936
S  0.333  0.667  0.250
S  0.667  0.333  0.750

Energy of formation from the pure elements = -0.44 eV/atom
MP2020-corrected energy = -0.335 Ry/atom
V = 17.10 Å³/atom


BaS4O: optimized geometry, PBE-GGA.

Cell lengths 8.743, 10.535, 7.224 Å; angles 90.00, 90.00, 90.00 degrees
Sites, in units of the cell vectors:
Ba  0.249  0.123  0.245
Ba  0.251  0.623  0.755
Ba  0.749  0.377  0.755
Ba  0.751  0.877  0.245
S  0.019  0.099  0.649
S  0.107  0.843  0.428
S  0.114  0.467  0.164
S  0.115  0.348  0.943
S  0.385  0.848  0.057
S  0.386  0.967  0.836
S  0.393  0.343  0.572
S  0.481  0.599  0.351
S  0.519  0.401  0.351
S  0.607  0.657  0.572
S  0.614  0.033  0.836
S  0.615  0.152  0.057
S  0.885  0.652  0.943
S  0.886  0.533  0.164
S  0.893  0.157  0.428
S  0.981  0.901  0.649
O  0.000  0.000  0.190
O  0.000  0.500  0.707
O  0.500  0.000  0.293
O  0.500  0.500  0.810

Energy of formation from the pure elements = -0.97 eV/atom
MP2020-corrected energy = -0.358 Ry/atom
V = 27.72 Å³/atom